HoAl3C3 | GGA-PBE | optimized geometry

Total energy: -91.24 eV for the cell shown
Space group: P6_3/mmc

Cell and atoms, written as POSCAR:
```
HoAl3C3
1.0
3.4288 0.0000 0.0000
-1.7144 2.9695 0.0000
0.0000 0.0000 17.3005
Ho Al C
2 6 6
Direct
0.0000 0.0000 0.0000
0.0000 0.0000 0.5000
0.3333 0.6667 0.1333
0.3333 0.6667 0.3667
0.3333 0.6667 0.7500
0.6667 0.3333 0.2500
0.6667 0.3333 0.6333
0.6667 0.3333 0.8667
0.3333 0.6667 0.2500
0.3333 0.6667 0.5924
0.3333 0.6667 0.9076
0.6667 0.3333 0.0924
0.6667 0.3333 0.4076
0.6667 0.3333 0.7500
```

---

KAlCO6 | GGA-PBE | optimized geometry

Total energy: -227.70 eV for the cell shown
Space group: Pna2_1

Cell and atoms, written as POSCAR:
```
KAlCO6
1.0
8.0066 0.0000 0.0000
0.0000 11.3623 0.0000
0.0000 0.0000 6.0210
K Al C O
4 4 4 24
Direct
0.1601 0.1824 0.0000
0.3399 0.6824 0.5000
0.6601 0.3176 0.0000
0.8399 0.8176 0.5000
0.0143 0.4958 0.2475
0.4857 0.9958 0.7475
0.5143 0.0042 0.2475
0.9857 0.5042 0.7475
0.0471 0.7205 0.0066
0.4529 0.2205 0.5066
0.5471 0.7795 0.0066
0.9529 0.2795 0.5066
0.0367 0.8312 0.0107
0.0516 0.6641 0.8146
0.0580 0.6615 0.1954
0.1059 0.5152 0.5074
0.1215 0.9686 0.6041
0.2292 0.4415 0.0601
0.2708 0.9415 0.5601
0.3785 0.4686 0.1041
0.3941 0.0152 0.0074
0.4420 0.1615 0.6954
0.4484 0.1641 0.3146
0.4633 0.3312 0.5107
0.5367 0.6688 0.0107
0.5516 0.8359 0.8146
0.5580 0.8385 0.1954
0.6059 0.9848 0.5074
0.6215 0.5314 0.6041
0.7292 0.0585 0.0601
0.7708 0.5585 0.5601
0.8785 0.0314 0.1041
0.8941 0.4848 0.0074
0.9420 0.3385 0.6954
0.9484 0.3359 0.3146
0.9633 0.1688 0.5107
```

---

> total energy of number 2 (KAlCO6)?

-227.70 eV for the cell shown